DFT (PBE) results for a relaxed structure of Zr2CoMo3.

abc: 5.2554 5.2554 8.7472
angles: 90.00 90.00 120.00
Last column: nearest neighbours and their distance in Å.
Space group P6_3/mmc (No. 194)
Unique sites:
Zr 0.3333 0.6667 0.0593  3 Co 3.08, 9 Mo 3.09-3.11, 4 Zr 3.21-3.34
Co 0.0000 0.0000 0.0000  6 Mo 2.67
Mo 0.1684 0.3367 0.7500  4 Mo 2.60-2.65, 2 Co 2.67

Excess energy over the best structure of this formula in the dataset   0.0000 eV per atom
Total DFT energy (no corrections)   -9.589 eV/atom
Formation energy from the elements   -0.13 eV/atom

=====

DFT (PBE) results for a relaxed structure of Ba2UTiO6.

abc: 8.4598 8.4598 8.4598
angles: 90.00 90.00 90.00
Last column: nearest neighbours and their distance in Å.
Space group Fm-3m (No. 225)
Unique sites:
Ba 0.2500 0.2500 0.2500  12 O 2.99
U 0.0000 0.0000 0.0000  6 O 2.19
Ti 0.0000 0.0000 0.5000  6 O 2.04
O 0.0000 0.0000 0.2587  1 Ti 2.04, 1 U 2.19

Total DFT energy (no corrections)   -8.368 eV/atom
Formation energy from the elements   -3.51 eV/atom

=====

DFT (PBE) results for a relaxed structure of MnMoN2.

abc: 2.8645 2.8645 10.6846
angles: 90.00 90.00 120.00
Last column: nearest neighbours and their distance in Å.
Space group P6_3/mmc (No. 194)
Unique sites:
Mn 0.0000 0.0000 0.0000  6 N 2.10
Mo 0.0000 0.0000 0.2500  6 N 2.15
N 0.3333 0.6667 0.1214  3 Mn 2.10, 3 Mo 2.15

Total DFT energy (no corrections)   -9.515 eV/atom
Formation energy from the elements   -0.53 eV/atom

=====

DFT (PBE) results for a relaxed structure of NaGa2PS2O12.

abc: 14.6943 8.4833 22.1703
angles: 90.00 90.00 90.00
Last column: nearest neighbours and their distance in Å.
Space group Cc (No. 9)
Unique sites:
Na 0.0000 0.0007 0.0000  6 O 2.48-2.55
Na 0.1709 0.4945 0.6667  6 O 2.46-2.56
Na 0.3344 0.0043 0.8334  6 O 2.46-2.56
Ga 0.0026 0.9997 0.1484  6 O 1.89-2.03
Ga 0.0031 0.0007 0.3516  6 O 1.89-2.04
Ga 0.1724 0.4862 0.8150  6 O 1.86-2.08
Ga 0.1778 0.4969 0.5182  5 O 1.86-2.04
Ga 0.3312 0.0103 0.6852  5 O 1.85-2.05
Ga 0.3372 0.9999 0.4818  6 O 1.90-2.04
P 0.1464 0.1432 0.7500  4 O 1.54-1.55
P 0.3170 0.3529 0.9167  4 O 1.54-1.55
P 0.3376 0.2903 0.5828  4 O 1.54-1.55
S 0.0041 0.2918 0.2503  4 O 1.48
S 0.0254 0.3560 0.9173  4 O 1.48
S 0.1696 0.2113 0.4161  4 O 1.48
S 0.1912 0.1455 0.0833  4 O 1.47-1.48
S 0.3577 0.3528 0.2497  4 O 1.48
S 0.4817 0.1438 0.0837  4 O 1.48-1.49
O 0.0164 0.1828 0.9106  1 S 1.48
O 0.0204 0.1971 0.1954  1 S 1.48
O 0.0633 0.4299 0.8622  1 S 1.48
O 0.0725 0.4300 0.5762  1 S 1.48
O 0.0811 0.3800 0.9720  1 S 1.48
O 0.0866 0.3900 0.2576  1 S 1.48
O 0.0880 0.1098 0.4103  1 S 1.48
O 0.0882 0.1193 0.6929  1 P 1.54
O 0.1004 0.0717 0.0898  1 S 1.48
O 0.1054 0.0678 0.8071  1 P 1.54
O 0.1516 0.3051 0.4711  1 S 1.48
O 0.1562 0.3244 0.7561  1 P 1.55
O 0.1805 0.3184 0.0768  1 S 1.48
O 0.1855 0.3069 0.3614  1 S 1.48
O 0.2302 0.0729 0.0287  1 S 1.47
O 0.2419 0.0673 0.7439  1 P 1.55
O 0.2479 0.1260 0.1379  1 S 1.48
O 0.2512 0.3934 0.5768  1 P 1.55
O 0.2518 0.1112 0.4228  1 S 1.48
O 0.2577 0.3760 0.8601  1 P 1.54
O 0.2660 0.4240 0.2565  1 S 1.48
O 0.2758 0.4302 0.9731  1 P 1.54
O 0.3193 0.1916 0.6397  1 P 1.54
O 0.3256 0.1725 0.9248  1 P 1.55
O 0.3499 0.1800 0.2424  1 S 1.48
O 0.3546 0.1894 0.5262  1 P 1.54
O 0.3960 0.4282 0.1953  1 S 1.48
O 0.4115 0.4303 0.9085  1 P 1.55
O 0.4132 0.3756 0.3046  1 S 1.48
O 0.4226 0.1062 0.7436  1 S 1.48
O 0.4227 0.3956 0.5910  1 P 1.55
O 0.4257 0.1236 0.0288  1 S 1.48
O 0.4338 0.0723 0.4230  1 S 1.48
O 0.4416 0.0730 0.1385  1 S 1.48
O 0.4856 0.3034 0.8046  1 S 1.48
O 0.4912 0.3173 0.0897  1 S 1.49

Total DFT energy (no corrections)   -6.200 eV/atom
Formation energy from the elements   -2.19 eV/atom

=====

DFT (PBE) results for a relaxed structure of KAl11O17.

abc: 5.6751 9.7736 22.9557
angles: 90.00 90.00 90.00
Last column: nearest neighbours and their distance in Å.
Space group Cmcm (No. 63)
Unique sites:
K 0.0000 0.1052 0.2500  4 O 2.70-2.89
Al 0.0000 0.0000 0.0000  6 O 1.89-1.92
Al 0.0000 0.1710 0.1043  6 O 1.84-2.04
Al 0.0000 0.3326 0.6748  4 O 1.73-1.81
Al 0.0000 0.3347 0.5253  4 O 1.82-1.83
Al 0.2483 0.4187 0.1064  5 O 1.83-2.04
O 0.0000 0.0032 0.1408  3 Al 1.83-1.84
O 0.0000 0.1581 0.5500  2 Al 1.82-1.92
O 0.0000 0.3357 0.0546  4 Al 1.83-2.01
O 0.0000 0.3370 0.7500  2 Al 1.73
O 0.0000 0.4972 0.6431  3 Al 1.77-1.84
O 0.2324 0.0778 0.0491  4 Al 1.83-2.04
O 0.2460 0.2528 0.1444  3 Al 1.81-1.85

Excess energy over the best structure of this formula in the dataset   0.0137 eV per atom
Total DFT energy (no corrections)   -7.324 eV/atom
Formation energy from the elements   -3.37 eV/atom

=====

DFT (PBE) results for a relaxed structure of CeZn3.

abc: 6.7262 4.5366 10.1223
angles: 90.00 90.00 90.00
Last column: nearest neighbours and their distance in Å.
Space group Pnma (No. 62)
Unique sites:
Ce 0.2203 0.2500 0.1554  12 Zn 3.04-3.31
Zn 0.0373 0.7500 0.3895  5 Zn 2.59-2.88
Zn 0.0815 0.2500 0.8544  5 Zn 2.59-2.79
Zn 0.2197 0.7500 0.9559  6 Zn 2.65-2.88

Total DFT energy (no corrections)   -2.722 eV/atom
Formation energy from the elements   -0.29 eV/atom

=====

DFT (PBE) results for a relaxed structure of NiAg3.

abc: 4.0090 4.0090 4.0090
angles: 90.00 90.00 90.00
Last column: nearest neighbours and their distance in Å.
Space group Pm-3m (No. 221)
Unique sites:
Ni 0.0000 0.0000 0.0000  12 Ag 2.83
Ag 0.0000 0.5000 0.5000  4 Ni 2.83, 8 Ag 2.83

Total DFT energy (no corrections)   -3.380 eV/atom
Formation energy from the elements   0.19 eV/atom

=====

DFT (PBE) results for a relaxed structure of Sr3OsN3.

abc: 7.8222 7.8222 5.3442
angles: 90.00 90.00 120.00
Last column: nearest neighbours and their distance in Å.
Space group P6_3/m (No. 176)
Unique sites:
Sr 0.0991 0.3594 0.2500  5 N 2.70-2.95
Os 0.3333 0.6667 0.7500  3 N 1.87
N 0.1102 0.4146 0.7500  1 Os 1.87

Total DFT energy (no corrections)   -6.453 eV/atom
Formation energy from the elements   -0.71 eV/atom

=====

DFT (PBE) results for a relaxed structure of SmIn6Cu6.

abc: 5.3437 9.3314 9.4663
angles: 90.00 90.00 90.00
Last column: nearest neighbours and their distance in Å.
Space group Immm (No. 71)
Unique sites:
Sm 0.0000 0.0000 0.0000  8 In 3.14-3.23, 4 Cu 3.47
In 0.0000 0.0000 0.3416  6 Cu 2.82-2.88, 3 In 3.00-3.08
In 0.0000 0.3360 0.0000  6 Cu 2.83, 1 In 3.06, 1 Sm 3.14
In 0.0000 0.5000 0.3208  6 Cu 2.77-2.79, 2 In 3.08
Cu 0.0000 0.2633 0.5000  4 Cu 2.72, 6 In 2.79-2.88
Cu 0.2500 0.2500 0.2500  4 Cu 2.67-2.72, 6 In 2.77-2.83

Total DFT energy (no corrections)   -3.651 eV/atom
Formation energy from the elements   -0.13 eV/atom

=====

DFT (PBE) results for a relaxed structure of AlSi2O6.

abc: 5.2574 5.2620 9.6275
angles: 86.31 79.16 60.23
Last column: nearest neighbours and their distance in Å.
Space group P-1 (No. 2)
Unique sites:
Al 0.1863 0.1859 0.9999  6 O 1.85-1.93
Si 0.2434 0.5024 0.7104  4 O 1.63-1.65
Si 0.4114 0.1537 0.2902  4 O 1.63-1.65
O 0.0550 0.9234 0.0702  1 O 1.58
O 0.0559 0.2875 0.3552  2 Si 1.63-1.64
O 0.1431 0.4934 0.8830  1 Si 1.65
O 0.3974 0.1674 0.6451  2 Si 1.63-1.64
O 0.4568 0.1065 0.1174  1 Si 1.65
O 0.4807 0.6212 0.6712  2 Si 1.63

Excess energy over the best structure of this formula in the dataset   0.0930 eV per atom
Total DFT energy (no corrections)   -7.563 eV/atom
Formation energy from the elements   -2.95 eV/atom

=====

DFT (PBE) results for a relaxed structure of U11Se20.

abc: 10.7225 10.7225 6.6936
angles: 90.00 90.00 90.00
Last column: nearest neighbours and their distance in Å.
Space group P4 (No. 75)
Unique sites:
U 0.0000 0.0000 0.0000  8 Se 2.92-2.98
U 0.0000 0.0000 0.4996  8 Se 2.92-2.99
U 0.1583 0.6517 0.3895  8 Se 2.89-3.16
U 0.1609 0.3501 0.8895  8 Se 2.89-3.18
U 0.5000 0.5000 0.2755  8 Se 2.92-2.97
Se 0.0000 0.5000 0.1390  4 U 2.89
Se 0.0000 0.5000 0.6406  4 U 2.89
Se 0.0873 0.2091 0.2571  5 U 2.92-3.16
Se 0.0876 0.7906 0.7584  5 U 2.92-3.18
Se 0.2904 0.4119 0.5163  4 U 2.92-3.06
Se 0.2904 0.5888 0.0237  4 U 2.90-3.05

Excess energy over the best structure of this formula in the dataset   0.0000 eV per atom
Total DFT energy (no corrections)   -7.429 eV/atom
Formation energy from the elements   -1.47 eV/atom

=====

DFT (PBE) results for a relaxed structure of Li2Cu3F9.

abc: 5.9074 7.6219 8.0859
angles: 106.37 94.78 100.95
Last column: nearest neighbours and their distance in Å.
Space group P-1 (No. 2)
Unique sites:
Li 0.0771 0.1261 0.2378  2 F 1.88-2.02
Li 0.1567 0.8733 0.5531  4 F 2.04-2.21, 1 Li 2.27
Cu 0.0382 0.4360 0.8194  1 F 1.89
Cu 0.4883 0.7425 0.4762  2 F 1.45-1.48
Cu 0.4972 0.7489 0.9886  6 F 2.05-2.25
F 0.0100 0.2808 0.0176  2 Cu 2.24-2.27, 2 F 2.37-2.49, 1 Li 2.44
F 0.0397 0.1305 0.6769  3 Li 2.10-2.26, 1 Cu 2.29
F 0.0636 0.6484 0.6746  2 Li 2.02-2.21, 1 Cu 2.24
F 0.2529 0.6542 0.3869  1 Cu 1.45
F 0.2789 0.1407 0.4363  1 Cu 1.48
F 0.3319 0.9744 0.9442  1 F 2.03, 2 Cu 2.05-2.23
F 0.3339 0.4688 0.9473  2 Cu 1.89-2.09, 1 F 1.99
F 0.4895 0.8259 0.2584  2 Cu 2.03-2.10, 1 F 2.25
F 0.4902 0.6648 0.7008  2 Cu 2.06-2.23

Excess energy over the best structure of this formula in the dataset   0.6667 eV per atom
Total DFT energy (no corrections)   -3.559 eV/atom
Formation energy from the elements   -1.47 eV/atom

=====

Calculated density for the records above, in order: 8.40 7.20 7.83 3.24 3.17 7.23 9.85 5.81 8.59 2.62 9.06 3.68 g/cm3